Record 1
## KHfMg14O15 (GGA-PBE)

Data for a relaxed structure of KHfMg14O15.

POSCAR file:
```
KHfMg14O15
1.0
8.652 0.000 0.000
0.000 8.850 0.000
0.000 0.000 4.414
O Mg K Hf
15 14 1 1
Direct
0.248 0.745 0.500 O
0.248 0.255 0.500 O
0.750 0.251 0.500 O
0.503 0.740 0.000 O
0.254 0.500 0.000 O
0.503 0.260 0.000 O
0.502 0.000 0.500 O
0.995 0.729 0.000 O
0.987 0.000 0.500 O
0.727 0.000 0.000 O
0.750 0.749 0.500 O
0.500 0.500 0.500 O
0.997 0.500 0.500 O
0.746 0.500 0.000 O
0.995 0.271 0.000 O
0.263 0.744 0.000 Mg
0.502 0.751 0.500 Mg
0.263 0.256 0.000 Mg
0.743 0.238 0.000 Mg
0.494 0.000 0.000 Mg
0.261 0.000 0.500 Mg
0.997 0.236 0.500 Mg
0.258 0.500 0.500 Mg
0.997 0.764 0.500 Mg
0.748 0.000 0.500 Mg
0.502 0.249 0.500 Mg
0.743 0.762 0.000 Mg
0.742 0.500 0.500 Mg
0.505 0.500 0.000 Mg
0.027 0.000 0.000 K
0.997 0.500 0.000 Hf
```

Calculated values
Raw total energy in eV/atom: -5.87
SG: Pmm2, No. 25
Formation enthalpy at 0 K in eV per atom: -2.730

---

Record 2
## KHfMg14O15 (GGA-PBE)

Data for a relaxed structure of KHfMg14O15.

POSCAR file:
```
KHfMg14O15
1.0
8.692 0.000 0.000
0.000 8.680 0.000
0.000 0.000 4.437
Mg O Hf K
14 15 1 1
Direct
0.001 0.750 0.500 Mg
0.499 0.240 0.500 Mg
0.997 0.500 0.000 Mg
0.758 0.754 0.000 Mg
0.248 0.000 0.500 Mg
0.242 0.757 0.000 Mg
0.499 0.760 0.500 Mg
0.500 0.000 0.000 Mg
0.758 0.500 0.500 Mg
0.245 0.500 0.500 Mg
0.242 0.243 0.000 Mg
0.758 0.246 0.000 Mg
0.752 0.000 0.500 Mg
0.001 0.250 0.500 Mg
0.748 0.251 0.500 O
0.001 0.276 0.000 O
0.501 0.741 0.000 O
0.748 0.500 0.000 O
0.251 0.244 0.500 O
0.508 0.500 0.500 O
0.001 0.724 0.000 O
0.748 0.749 0.500 O
0.999 0.500 0.500 O
0.501 0.259 0.000 O
0.251 0.756 0.500 O
0.998 0.000 0.500 O
0.501 0.000 0.500 O
0.724 0.000 0.000 O
0.277 0.000 0.000 O
0.493 0.500 0.000 Hf
0.001 0.000 0.000 K
```

Calculated values
Raw total energy in eV/atom: -5.87
SG: Pmm2, No. 25
Formation enthalpy at 0 K in eV per atom: -2.729

---

no.,total energy after the MP2020 corrections (eV per formula unit),ΔE to the lowest computed polymorph (meV/atom)
1,-192.33,5.1
2,-192.29,6.2